Compound: MgCo6O8F4
Source: Materials Project
Functional: PBE+U
Structure: optimized geometry

a = 5.0104 Å, b = 7.6233 Å, c = 5.7986 Å
α = 100.21°, β = 101.13°, γ = 81.10°
Closest atoms and distances in Å follow each position.
Fractional coordinates of all 19 atoms:
Mg  0.4776  0.0132  0.9843  3 F 1.97-2.14, 3 O 1.98-2.10
Co  0.5445  0.0053  0.4757  4 O 1.89-1.92
Co  0.5764  0.3641  0.7793  5 O 1.83-2.01
Co  0.4822  0.6495  0.1832  4 O 1.85-1.93
Co  0.9918  0.6487  0.6658  3 O 1.86-1.95, 1 F 2.00
Co  0.9812  0.3112  0.3434  4 O 1.91-1.99, 1 F 2.13
Co  0.9859  0.9914  0.0117  3 O 1.89-1.92, 3 F 1.99-2.06
O  0.8159  0.4311  0.6189  3 Co 1.83-1.96
O  0.7907  0.0929  0.2622  2 Co 1.89-1.99, 1 Mg 2.10
O  0.7009  0.7631  0.4640  3 Co 1.89-1.93
O  0.6992  0.1017  0.7917  3 Co 1.91-2.01, 1 Mg 1.98
O  0.7006  0.4326  0.1252  3 Co 1.85-1.98
O  0.2949  0.5680  0.8785  3 Co 1.86-2.01
O  0.3214  0.2270  0.5254  3 Co 1.89-2.01
O  0.3139  0.8937  0.2018  3 Co 1.91-1.92, 1 Mg 2.03
F  0.7669  0.7778  0.9406  2 Co 2.04-2.14, 1 Mg 2.14
F  0.1881  0.2135  0.0493  1 Mg 1.97, 2 Co 2.06-2.13
F  0.1847  0.9001  0.7399  2 Co 1.99-2.22, 1 Mg 2.02
F  0.1829  0.5527  0.3876  2 Co 2.00-2.19

## Properties
Energy above the most stable polymorph in this dataset, meV per atom: 32.2
Crystal system: triclinic
Formation energy from the elements, eV per atom: -1.572